Fe6Ni9S20 after structural relaxation. Source: the Materials Project, functional PBE-GGA.

As for the volume: 1033.7 Å³ per cell. As for the distance to the lowest polymorph of the same formula: 0.0 meV/atom. The uncorrected energy comes out at -5.71 eV per atom. The calculation puts the energy relative to the elements at -24.30 eV per formula unit.

Unit cell a=6.5792 b=6.6764 c=27.2303 alpha=96.33 beta=90.21 gamma=119.37
Positions (direct):
Fe: 0.0000 0.0000 0.0000
Fe: 0.0016 0.5064 0.4964
Fe: 0.1127 0.7070 0.2962
Fe: 0.1834 0.9080 0.0929
Fe: 0.2008 0.3987 0.6005
Fe: 0.3978 0.3071 0.6955
Fe: 0.4802 0.9611 0.4231
Fe: 0.5936 0.7074 0.2965
Fe: 0.6043 0.2136 0.7927
Fe: 0.7197 0.9088 0.0935
Fe: 0.8037 0.1070 0.8958
Fe: 0.9068 0.3070 0.6957
Ni: 0.0036 0.0086 0.4967
Ni: 0.0777 0.1585 0.2212
Ni: 0.1263 0.2510 0.3712
Ni: 0.2061 0.4173 0.0959
Ni: 0.2807 0.5648 0.8219
Ni: 0.3019 0.1070 0.8958
Ni: 0.3249 0.6509 0.9700
Ni: 0.4028 0.8088 0.1951
Ni: 0.4040 0.8095 0.6963
Ni: 0.5001 0.5048 0.4965
Ni: 0.5248 0.0492 0.5707
Ni: 0.6053 0.2110 0.2969
Ni: 0.6714 0.3498 0.0193
Ni: 0.7237 0.4503 0.1710
Ni: 0.8018 0.6061 0.3966
Ni: 0.8021 0.6064 0.8959
Ni: 0.8747 0.7532 0.6202
Ni: 0.9288 0.8566 0.7717
S: 0.0530 0.1101 0.1409
S: 0.0562 0.1159 0.6481
S: 0.0627 0.5965 0.6479
S: 0.0708 0.6246 0.1434
S: 0.1339 0.2786 0.9454
S: 0.1394 0.8174 0.9455
S: 0.1409 0.7965 0.4485
S: 0.1516 0.3110 0.4517
S: 0.2511 0.5037 0.7416
S: 0.2636 0.5289 0.2473
S: 0.2642 0.9963 0.2486
S: 0.2728 0.0194 0.7442
S: 0.3308 0.2019 0.0476
S: 0.3319 0.6755 0.5461
S: 0.3397 0.2170 0.5467
S: 0.3593 0.7238 0.0506
S: 0.4522 0.9055 0.3447
S: 0.4651 0.3966 0.8463
S: 0.4720 0.4203 0.3441
S: 0.4719 0.9371 0.8464
S: 0.5326 0.5977 0.6481
S: 0.5378 0.0804 0.1410
S: 0.5494 0.6242 0.1434
S: 0.5567 0.1159 0.6510
S: 0.6516 0.2989 0.9400
S: 0.6592 0.8021 0.4476
S: 0.6649 0.3212 0.4483
S: 0.6770 0.8227 0.9450
S: 0.7301 0.9961 0.2485
S: 0.7455 0.0199 0.7446
S: 0.7452 0.4918 0.7431
S: 0.7590 0.5196 0.2518
S: 0.8513 0.7001 0.5404
S: 0.8521 0.7109 0.0456
S: 0.8657 0.2006 0.0473
S: 0.8784 0.2236 0.5459
S: 0.9281 0.3911 0.8467
S: 0.9405 0.8813 0.3435
S: 0.9476 0.4211 0.3444
S: 0.9520 0.9118 0.8512

FeNi2S4 after structural relaxation. Source: the Materials Project, functional PBE-GGA.

As for the volume: 206.5 Å³ per cell. As for the distance to the lowest polymorph of the same formula: 44.7 meV/atom. The uncorrected energy comes out at -5.59 eV per atom. The calculation puts the energy relative to the elements at -4.59 eV per formula unit.

Unit cell a=6.6341 b=6.6341 c=6.6341 alpha=60.00 beta=60.00 gamma=60.00
Positions (direct):
Fe: 0.1250 0.1250 0.1250
Fe: 0.8750 0.8750 0.8750
Ni: 0.0000 0.5000 0.5000
Ni: 0.5000 0.0000 0.5000
Ni: 0.5000 0.5000 0.0000
Ni: 0.5000 0.5000 0.5000
S: 0.2552 0.2552 0.2552
S: 0.2552 0.2552 0.7345
S: 0.2552 0.7345 0.2552
S: 0.2655 0.7448 0.7448
S: 0.7345 0.2552 0.2552
S: 0.7448 0.2655 0.7448
S: 0.7448 0.7448 0.2655
S: 0.7448 0.7448 0.7448

FeNiS2 after structural relaxation. Source: the Materials Project, functional PBE-GGA.

As for the volume: 368.0 Å³ per cell. The uncorrected energy comes out at -5.80 eV per atom. The calculation puts the energy relative to the elements at -1.67 eV per formula unit.

Unit cell a=8.0501 b=8.0501 c=8.0501 alpha=120.25 beta=89.73 gamma=120.06
Positions (direct):
Fe: 0.2498 0.0000 0.2498
Fe: 0.3501 0.1951 0.8450
Fe: 0.3501 0.5051 0.1550
Fe: 0.7502 0.0000 0.7502
Ni: 0.3325 0.5045 0.8280
Ni: 0.6745 0.5036 0.8291
Ni: 0.6745 0.8455 0.1709
Ni: 0.6765 0.5045 0.1720
S: 0.0856 0.2285 0.8571
S: 0.3694 0.2338 0.5855
S: 0.3694 0.7839 0.1356
S: 0.3713 0.2285 0.1429
S: 0.6423 0.7784 0.8639
S: 0.6483 0.2338 0.8644
S: 0.6483 0.7839 0.4145
S: 0.9145 0.7784 0.1361